Below is a geometry-optimized TiS2O8 structure, with properties calculated at the r2SCAN level.

Geometry as POSCAR:
```
TiS2O8
1.0
7.717 -4.161 -0.031
7.717 4.161 -0.030
5.500 0.000 6.827
O S Ti
24 6 3
Cartesian
7.860 -1.218 6.463 O
11.915 0.820 5.216 O
14.492 1.593 4.826 O
8.529 1.617 2.490 O
10.117 0.282 6.667 O
11.683 2.659 1.820 O
5.536 -2.734 0.444 O
11.533 -2.941 2.285 O
4.217 0.258 4.524 O
9.210 -2.532 4.895 O
6.854 0.463 0.662 O
9.257 3.842 2.139 O
5.674 2.476 0.018 O
7.981 -0.589 4.185 O
12.733 0.715 2.686 O
8.843 -1.028 1.519 O
6.295 -1.511 2.390 O
12.296 -1.535 4.038 O
10.726 -0.315 0.203 O
14.130 -0.914 5.946 O
9.378 2.847 4.376 O
6.049 1.049 3.153 O
9.906 -2.624 0.132 O
14.979 -0.680 3.320 O
8.649 2.946 3.175 S
12.345 -2.945 3.549 S
8.031 -1.786 5.087 S
12.936 1.836 1.721 S
9.601 -1.160 0.232 S
11.367 1.109 6.575 S
7.472 0.000 2.415 Ti
3.053 0.000 0.987 Ti
13.448 0.000 4.346 Ti
```

Its energy relative to the lowest polymorph listed for this composition is 0.000 eV per atom.


Below is a geometry-optimized Er2InCu2 structure, with properties calculated at the r2SCAN level.

Geometry as POSCAR:
```
Er2InCu2
1.0
-2.571 -5.503 4.204
4.216 -4.802 -3.707
2.769 0.559 2.425
In Er Cu
2 4 4
Cartesian
0.000 0.000 0.000 In
0.822 -5.152 0.249 In
2.329 -2.242 0.715 Er
0.381 -4.238 3.400 Er
2.085 -7.504 2.207 Er
4.033 -5.507 -0.477 Er
2.113 -7.638 -0.652 Cu
-0.661 -6.662 2.291 Cu
-0.468 -2.667 1.149 Cu
2.306 -3.642 -1.793 Cu
```


no.,E_form (eV per atom)
1,-1.871
2,-0.453